VASP calculation (PBE) on a geometry-optimized Rb2ZnI3 structure.

## Properties
VASP energy ... -26.7 eV per cell
DFT formation energy ... -1.119 eV/atom
Magnetic moment ... 2.0 μB per cell

Cell and atoms, written as POSCAR:
```
Rb2ZnI3
1.0
7.134 0.000 0.000
0.000 8.624 0.000
-2.708 0.000 10.035
Rb Zn I
4 2 6
direct
0.161 0.250 0.466
0.325 0.750 0.091
0.675 0.250 0.909
0.839 0.750 0.534
0.437 0.750 0.717
0.563 0.250 0.283
0.235 0.501 0.789
0.235 0.999 0.789
0.304 0.750 0.438
0.696 0.250 0.562
0.765 0.001 0.211
0.765 0.499 0.211
```